# 1
The following is a DFT calculation (PBE) of an optimized crystal structure of LiTiS2O2.

extended XYZ file:
```
6
Lattice="1.136 -1.504 -2.863 1.915 1.896 -2.118 8.305 -2.780 4.003" Properties=species:S:1:pos:R:3 pbc="T T T"
Ti 0.000 0.000 0.000
S 9.175 -2.107 0.022
Li 4.153 -1.390 2.001
O 5.457 -1.006 -1.113
S 2.182 -0.281 -1.001
O 5.900 -1.381 0.135
```

The energy relative to the elements is -1244 meV per atom. The symmetry is C2/m (12). The value obtained for the total energy is -5.684 eV per atom. The total magnetic moment is 1.00 Bohr magnetons per cell.

# 2
The following is a DFT calculation (PBE) of an optimized crystal structure of Li11Y14Ti14S14O35.

extended XYZ file:
```
88
Lattice="8.909 0.000 0.000 2.671 10.999 0.000 1.743 1.006 12.400" Properties=species:S:1:pos:R:3 pbc="T T T"
Li 9.776 0.855 10.538
S 10.674 7.447 11.868
Li 10.713 11.573 7.074
O 1.747 2.859 7.778
Li 3.613 0.936 11.525
O 10.648 11.210 2.597
O 3.565 9.066 1.946
O 3.530 3.002 11.333
Ti 4.438 2.353 4.270
Ti 10.693 9.262 2.839
S 8.008 5.421 11.142
O 6.235 2.350 3.390
Y 6.186 8.010 7.378
O 6.200 9.863 11.669
Ti 10.633 9.977 11.684
Ti 7.110 9.366 4.593
Li 6.289 0.292 3.598
Ti 7.962 2.891 11.368
O 2.675 0.796 9.803
Y 2.669 7.444 0.289
Li 7.034 11.713 8.802
S 6.215 5.128 7.612
Ti 3.542 9.594 6.354
Ti 2.690 2.028 0.716
Li 5.326 0.503 6.200
O 4.446 0.359 4.425
O 7.995 2.623 6.919
O 9.755 9.728 9.914
O 11.576 9.146 4.622
O 0.871 0.503 6.200
O 8.905 2.574 4.263
S 8.878 7.167 8.337
O 5.327 2.562 6.033
Li 9.710 11.794 9.799
S 2.652 5.280 9.402
O 12.429 9.784 10.791
O 7.125 8.806 0.178
O 7.123 2.143 0.732
S 7.108 6.877 4.788
Ti 5.361 9.114 1.033
Y 8.015 7.576 2.051
Y 1.757 3.852 3.258
O 4.418 9.432 8.138
Ti 5.300 9.834 9.879
Y 7.980 8.295 10.926
O 7.088 9.655 9.011
Y 8.895 4.281 8.563
O 2.657 2.480 5.148
Li 3.547 11.150 1.863
O 6.198 3.200 12.222
O 7.996 9.444 6.367
O 9.758 2.939 10.454
O 6.238 9.151 2.820
Ti 2.630 2.744 9.562
S 5.326 7.303 10.129
Li 2.609 0.432 5.326
Ti 8.884 9.653 8.130
S 9.777 5.005 5.836
Y 4.428 7.724 3.837
Y 10.653 4.562 12.112
O 8.877 11.646 7.975
Y 11.566 8.154 9.142
S 3.546 7.000 6.564
Ti 8.022 2.171 2.521
O 2.601 0.075 0.925
O 10.722 11.930 11.475
O 8.905 9.225 3.724
S 2.649 4.558 0.532
O 9.793 9.003 1.067
S 10.671 6.726 2.999
S 4.445 4.839 4.063
O 4.417 2.781 8.677
Y 3.515 4.147 6.800
Y 5.308 4.429 10.350
Y 7.137 3.995 5.022
Y 5.343 3.710 1.475
S 7.997 4.703 2.271
O 7.085 2.854 9.580
O 5.328 9.383 5.481
S 5.315 6.584 1.258
Y 9.808 7.859 5.601
O 0.893 2.221 1.610
Ti 9.781 2.412 6.046
Ti 6.213 2.640 7.807
Li 9.709 11.070 0.875
O 3.568 2.277 2.486
O 10.666 9.525 7.252
Li 3.613 0.211 2.602
```

The energy relative to the elements is -2974 meV per atom. The symmetry is P-1 (2). The value obtained for the total energy is -7.771 eV per atom. The total magnetic moment is 5.73 Bohr magnetons per cell.

# 3
The following is a DFT calculation (PBE) of an optimized crystal structure of LiSbO2.

extended XYZ file:
```
32
Lattice="2.094 4.103 1.806 3.121 0.506 -4.725 -13.143 10.058 -7.605" Properties=species:S:1:pos:R:3 pbc="T T T"
Li -0.014 5.457 -2.003
Sb -5.536 7.405 -6.825
O 1.587 4.077 -2.489
Sb -2.392 7.260 -3.698
Sb 3.103 4.502 -3.784
Li -5.806 11.400 -9.152
Li -8.473 8.190 -5.579
O -1.079 4.736 -0.474
Li -6.433 10.434 -6.250
O -6.878 11.832 -7.547
Sb -11.031 10.163 -6.739
Li -7.913 9.209 -8.521
O -3.448 6.483 -2.137
Li -2.122 3.265 -1.372
Li -1.494 4.232 -4.274
O -6.848 9.930 -10.050
O -3.701 4.563 -4.254
Sb -6.269 9.150 -3.206
O 1.342 2.150 -4.601
O -0.907 6.050 -3.640
Li 0.545 6.475 -4.944
O -4.479 8.183 -8.386
O -4.227 10.103 -6.269
O -0.915 4.178 -6.165
O -9.514 10.589 -8.034
Sb -1.658 5.516 -7.317
O -1.049 2.834 -2.977
O -7.013 10.488 -4.359
O -9.270 12.516 -5.922
O -7.021 8.616 -6.884
Sb 0.742 2.232 -2.663
Sb -8.670 12.434 -7.861
```

The energy relative to the elements is -1993 meV per atom. The symmetry is P2_1/c (14). The value obtained for the total energy is -5.633 eV per atom.

# 4
The following is a DFT calculation (PBE) of an optimized crystal structure of LiSbO3.

extended XYZ file:
```
10
Lattice="-3.734 3.273 1.880 -1.462 -4.529 -2.353 -1.884 -2.814 4.177" Properties=species:S:1:pos:R:3 pbc="T T T"
Li -5.063 -2.054 1.068
Sb -2.214 -1.947 -0.952
O -2.456 -3.929 2.394
O -5.173 -3.058 2.860
O -1.908 -1.013 0.844
O -4.625 -0.142 1.310
O -3.265 -1.151 3.901
O -3.816 -2.920 -0.197
Sb -2.982 0.690 0.479
Li -2.017 -2.017 2.636
```

The energy relative to the elements is -2118 meV per atom. The symmetry is C2/m (12). The value obtained for the total energy is -5.882 eV per atom.